# LiSnP4O12 PBE-GGA optimized geometry
data_LiSnP4O12
_chemical_formula_sum 'Li2 Sn2 P8 O24'
_symmetry_space_group_name_H-M 'P 1'
_symmetry_Int_Tables_number 1
_symmetry_space_group_name_Hall 'P 1'
_cell_length_a 7.5797
_cell_length_b 7.5962
_cell_length_c 10.2318
_cell_angle_alpha 99.65
_cell_angle_beta 108.30
_cell_angle_gamma 110.48
loop_
_atom_site_label
_atom_site_type_symbol
_atom_site_fract_x
_atom_site_fract_y
_atom_site_fract_z
Li1 Li 0.0000 0.0000 0.0000
Li2 Li 0.4896 0.0004 0.4986
Sn1 Sn 0.2471 0.4994 0.2487
Sn2 Sn 0.2478 0.0001 0.7486
P1 P 0.2380 0.6787 0.9373
P2 P 0.2488 0.3159 0.5564
P3 P 0.5112 0.7226 0.7707
P4 P 0.5450 0.2551 0.2716
P5 P 0.7398 0.3062 0.0593
P6 P 0.7553 0.6928 0.4374
P7 P 0.9485 0.7445 0.2258
P8 P 0.9777 0.2727 0.7236
O1 O 0.0353 0.4950 0.8152
O2 O 0.0592 0.3134 0.5958
O3 O 0.1124 0.1967 0.8212
O4 O 0.1226 0.7081 0.3243
O5 O 0.2018 0.8607 0.9210
O6 O 0.2071 0.3407 0.4092
O7 O 0.2830 0.1325 0.5711
O8 O 0.2836 0.6561 0.0854
O9 O 0.3682 0.2905 0.1757
O10 O 0.3817 0.8019 0.6724
O11 O 0.4235 0.6784 0.8947
O12 O 0.4510 0.4987 0.6795
O13 O 0.5035 0.0971 0.3386
O14 O 0.5549 0.7075 0.4230
O15 O 0.5670 0.2035 0.9122
O16 O 0.6773 0.2234 0.1803
O17 O 0.7162 0.4656 0.3954
O18 O 0.7373 0.8306 0.8422
O19 O 0.7520 0.1626 0.6564
O20 O 0.7823 0.5340 0.1003
O21 O 0.8140 0.7763 0.3154
O22 O 0.9277 0.7989 0.5842
O23 O 0.9382 0.2864 0.0741
O24 O 0.9890 0.9010 0.1578
# Symmetry: P1
# Energy relative to the lowest polymorph listed for this composition, meV per atom: 9

---

# Ce3Si2 PBE-GGA optimized geometry
data_Ce3Si2
_chemical_formula_sum 'Ce6 Si4'
_symmetry_space_group_name_H-M 'P 1'
_symmetry_Int_Tables_number 1
_symmetry_space_group_name_Hall 'P 1'
_cell_length_a 7.6397
_cell_length_b 7.6397
_cell_length_c 4.1710
_cell_angle_alpha 90.00
_cell_angle_beta 90.00
_cell_angle_gamma 90.00
loop_
_atom_site_label
_atom_site_type_symbol
_atom_site_fract_x
_atom_site_fract_y
_atom_site_fract_z
Ce1 Ce 0.0000 0.0000 0.0000
Ce2 Ce 0.1798 0.3202 0.5000
Ce3 Ce 0.3202 0.8202 0.5000
Ce4 Ce 0.5000 0.5000 0.0000
Ce5 Ce 0.6798 0.1798 0.5000
Ce6 Ce 0.8202 0.6798 0.5000
Si1 Si 0.1137 0.6137 0.0000
Si2 Si 0.3863 0.1137 0.0000
Si3 Si 0.6137 0.8863 0.0000
Si4 Si 0.8863 0.3863 0.0000
# Symmetry: P4/mbm

---

# EuIO PBE-GGA optimized geometry
data_EuIO
_chemical_formula_sum 'Eu2 I2 O2'
_symmetry_space_group_name_H-M 'P 1'
_symmetry_Int_Tables_number 1
_symmetry_space_group_name_Hall 'P 1'
_cell_length_a 4.0778
_cell_length_b 4.0778
_cell_length_c 9.3753
_cell_angle_alpha 90.00
_cell_angle_beta 90.00
_cell_angle_gamma 90.00
loop_
_atom_site_label
_atom_site_type_symbol
_atom_site_fract_x
_atom_site_fract_y
_atom_site_fract_z
Eu1 Eu 0.2500 0.2500 0.1217
Eu2 Eu 0.7500 0.7500 0.8783
I1 I 0.2500 0.2500 0.6737
I2 I 0.7500 0.7500 0.3263
O1 O 0.2500 0.7500 0.0000
O2 O 0.7500 0.2500 0.0000
# Symmetry: P4/nmm

---

# Na10La4Zr4Si7S5O48 PBE-GGA optimized geometry
data_Na10La4Zr4Si7S5O48
_chemical_formula_sum 'Na30 La12 Zr12 Si21 S15 O144'
_symmetry_space_group_name_H-M 'P 1'
_symmetry_Int_Tables_number 1
_symmetry_space_group_name_Hall 'P 1'
_cell_length_a 9.4903
_cell_length_b 16.4980
_cell_length_c 23.3531
_cell_angle_alpha 91.32
_cell_angle_beta 90.02
_cell_angle_gamma 90.26
loop_
_atom_site_label
_atom_site_type_symbol
_atom_site_fract_x
_atom_site_fract_y
_atom_site_fract_z
Na1 Na 0.0000 0.0000 0.0000
Na2 Na 0.0004 0.3299 0.6629
Na3 Na 0.1198 0.8295 0.1667
Na4 Na 0.1225 0.1671 0.8332
Na5 Na 0.1274 0.5197 0.8346
Na6 Na 0.1577 0.5234 0.1885
Na7 Na 0.2800 0.3362 0.5915
Na8 Na 0.2872 0.6687 0.2609
Na9 Na 0.2931 0.9850 0.9244
Na10 Na 0.3019 0.6713 0.7555
Na11 Na 0.3153 0.9974 0.4292
Na12 Na 0.3193 0.3361 0.0947
Na13 Na 0.4460 0.1907 0.0178
Na14 Na 0.4517 0.5222 0.6815
Na15 Na 0.4518 0.8616 0.3498
Na16 Na 0.4892 0.5167 0.3361
Na17 Na 0.4966 0.1674 0.3305
Na18 Na 0.4987 0.8301 0.6628
Na19 Na 0.6197 0.6700 0.8283
Na20 Na 0.6229 0.3333 0.1658
Na21 Na 0.6255 0.0236 0.8354
Na22 Na 0.7705 0.4902 0.9226
Na23 Na 0.7785 0.8354 0.5907
Na24 Na 0.7956 0.1602 0.2526
Na25 Na 0.8018 0.1741 0.7597
Na26 Na 0.8199 0.8360 0.0989
Na27 Na 0.8422 0.4895 0.4237
Na28 Na 0.9532 0.0246 0.6817
Na29 Na 0.9880 0.0169 0.3352
Na30 Na 0.9897 0.3515 0.0032
La1 La 0.2952 0.3552 0.4465
La2 La 0.3042 0.0131 0.7739
La3 La 0.3065 0.6804 0.1075
La4 La 0.3112 0.6796 0.6042
La5 La 0.3118 0.0171 0.2680
La6 La 0.3220 0.3564 0.9427
La7 La 0.8016 0.8546 0.4450
La8 La 0.8060 0.5124 0.7724
La9 La 0.8099 0.1796 0.6051
La10 La 0.8120 0.1768 0.1119
La11 La 0.8132 0.5208 0.2796
La12 La 0.8190 0.8488 0.9430
Zr1 Zr 0.2924 0.0206 0.0772
Zr2 Zr 0.2926 0.3529 0.7410
Zr3 Zr 0.2949 0.6900 0.4057
Zr4 Zr 0.3105 0.6920 0.9056
Zr5 Zr 0.3263 0.0172 0.5758
Zr6 Zr 0.3256 0.3521 0.2403
Zr7 Zr 0.7875 0.5195 0.0765
Zr8 Zr 0.7901 0.8519 0.7402
Zr9 Zr 0.8057 0.1927 0.4059
Zr10 Zr 0.8244 0.5175 0.5756
Zr11 Zr 0.8282 0.8537 0.2399
Zr12 Zr 0.8286 0.1894 0.9070
Si1 Si 0.0014 0.0100 0.1807
Si2 Si 0.0063 0.3468 0.8468
Si3 Si 0.1103 0.8480 0.3419
Si4 Si 0.1134 0.5126 0.6802
Si5 Si 0.1135 0.1795 0.0075
Si6 Si 0.1671 0.1672 0.6780
Si7 Si 0.1674 0.8371 0.0155
Si8 Si 0.1699 0.5040 0.3412
Si9 Si 0.4488 0.8368 0.5142
Si10 Si 0.4500 0.1730 0.1786
Si11 Si 0.4521 0.5069 0.8402
Si12 Si 0.5011 0.5126 0.1811
Si13 Si 0.5083 0.8466 0.8437
Si14 Si 0.6051 0.3453 0.3446
Si15 Si 0.6133 0.0127 0.6805
Si16 Si 0.6648 0.0005 0.3424
Si17 Si 0.6665 0.6676 0.6780
Si18 Si 0.6720 0.3329 0.0151
Si19 Si 0.9469 0.3369 0.5169
Si20 Si 0.9493 0.0035 0.8446
Si21 Si 0.9487 0.6668 0.1742
S1 S 0.0042 0.6729 0.5076
S2 S 0.1342 0.5352 0.0066
S3 S 0.1439 0.8691 0.6712
S4 S 0.1456 0.2027 0.3418
S5 S 0.4706 0.2037 0.8415
S6 S 0.4746 0.8688 0.1747
S7 S 0.4827 0.5349 0.5085
S8 S 0.5042 0.1726 0.5056
S9 S 0.6095 0.6713 0.0050
S10 S 0.6403 0.7066 0.3418
S11 S 0.6419 0.0363 0.0033
S12 S 0.6430 0.3687 0.6712
S13 S 0.9685 0.3741 0.1710
S14 S 0.9720 0.7020 0.8399
S15 S 0.9825 0.0355 0.5077
O1 O 0.0030 0.5228 0.3410
O2 O 0.0041 0.8643 0.3942
O3 O 0.0049 0.1974 0.0585
O4 O 0.0113 0.1658 0.9478
O5 O 0.0112 0.8375 0.2821
O6 O 0.0367 0.5220 0.7416
O7 O 0.0812 0.0126 0.2419
O8 O 0.0817 0.6823 0.5617
O9 O 0.0931 0.3510 0.9061
O10 O 0.1061 0.6673 0.4580
O11 O 0.1166 0.0249 0.8400
O12 O 0.1167 0.3467 0.5145
O13 O 0.1186 0.6868 0.1688
O14 O 0.1218 0.0041 0.1267
O15 O 0.1242 0.3375 0.7917
O16 O 0.1259 0.3749 0.1735
O17 O 0.1305 0.6969 0.8439
O18 O 0.1397 0.0341 0.5083
O19 O 0.1774 0.1183 0.7376
O20 O 0.1814 0.2526 0.2919
O21 O 0.1861 0.5821 0.9566
O22 O 0.1865 0.4501 0.0050
O23 O 0.1875 0.5717 0.0608
O24 O 0.1886 0.9236 0.6241
O25 O 0.1933 0.7852 0.6634
O26 O 0.1967 0.7926 0.0749
O27 O 0.1982 0.4219 0.6791
O28 O 0.1993 0.0918 0.0159
O29 O 0.1991 0.1181 0.3359
O30 O 0.2037 0.2371 0.3950
O31 O 0.2037 0.7620 0.3494
O32 O 0.2049 0.8988 0.7261
O33 O 0.2061 0.4506 0.3957
O34 O 0.2270 0.2533 0.0050
O35 O 0.2267 0.9218 0.3396
O36 O 0.2303 0.7764 0.9604
O37 O 0.2312 0.5837 0.6726
O38 O 0.2340 0.1085 0.6248
O39 O 0.2349 0.4545 0.2822
O40 O 0.2471 0.2572 0.6821
O41 O 0.2482 0.9270 0.0147
O42 O 0.2669 0.5908 0.3482
O43 O 0.3575 0.5937 0.8466
O44 O 0.3612 0.2604 0.1784
O45 O 0.3687 0.9272 0.5150
O46 O 0.3808 0.7790 0.4588
O47 O 0.3828 0.5829 0.1736
O48 O 0.3865 0.4551 0.7822
O49 O 0.3909 0.1144 0.1226
O50 O 0.4065 0.2402 0.5016
O51 O 0.4093 0.1208 0.8351
O52 O 0.4105 0.7872 0.1666
O53 O 0.4113 0.7946 0.5746
O54 O 0.4116 0.9271 0.8418
O55 O 0.4141 0.7601 0.8484
O56 O 0.4169 0.4221 0.1785
O57 O 0.4187 0.2356 0.8971
O58 O 0.4228 0.0937 0.5081
O59 O 0.4230 0.1300 0.2393
O60 O 0.4233 0.4544 0.8958
O61 O 0.4250 0.9249 0.1296
O62 O 0.4259 0.2562 0.7938
O63 O 0.4261 0.8973 0.2322
O64 O 0.4285 0.4509 0.5057
O65 O 0.4310 0.5693 0.5642
O66 O 0.4311 0.5843 0.4601
O67 O 0.4800 0.7107 0.3450
O68 O 0.4847 0.0363 0.0078
O69 O 0.4857 0.3718 0.6744
O70 O 0.4937 0.0026 0.6273
O71 O 0.4960 0.6849 0.6712
O72 O 0.4982 0.0229 0.3355
O73 O 0.4994 0.3468 0.3976
O74 O 0.5018 0.3319 0.2852
O75 O 0.5019 0.3378 0.0082
O76 O 0.5120 0.6677 0.9535
O77 O 0.5278 0.6806 0.0578
O78 O 0.5343 0.0208 0.7414
O79 O 0.5844 0.5207 0.2407
O80 O 0.5866 0.1811 0.5588
O81 O 0.6013 0.1669 0.4545
O82 O 0.6116 0.8317 0.7848
O83 O 0.6142 0.8508 0.8970
O84 O 0.6178 0.1943 0.1754
O85 O 0.6189 0.5308 0.8383
O86 O 0.6190 0.8466 0.5116
O87 O 0.6203 0.5047 0.1263
O88 O 0.6274 0.1965 0.8427
O89 O 0.6304 0.8633 0.1741
O90 O 0.6398 0.5347 0.5098
O91 O 0.6692 0.9391 0.3955
O92 O 0.6786 0.6204 0.3369
O93 O 0.6797 0.6203 0.7380
O94 O 0.6819 0.0846 0.9520
O95 O 0.6838 0.7550 0.2918
O96 O 0.6879 0.4236 0.6244
O97 O 0.6878 0.5920 0.0064
O98 O 0.6917 0.2847 0.6634
O99 O 0.6974 0.2889 0.0752
O100 O 0.6976 0.9529 0.0000
O101 O 0.6990 0.7395 0.3953
O102 O 0.7002 0.2581 0.3487
O103 O 0.7003 0.9227 0.6791
O104 O 0.7024 0.0741 0.0555
O105 O 0.7024 0.4258 0.3424
O106 O 0.7036 0.3980 0.7263
O107 O 0.7097 0.7388 0.0009
O108 O 0.7307 0.0838 0.6732
O109 O 0.7319 0.6082 0.6252
O110 O 0.7418 0.9486 0.2877
O111 O 0.7474 0.2764 0.9611
O112 O 0.7486 0.7571 0.6807
O113 O 0.7564 0.4225 0.0148
O114 O 0.7572 0.0871 0.3524
O115 O 0.8556 0.0902 0.8452
O116 O 0.8663 0.7547 0.1820
O117 O 0.8677 0.4270 0.5154
O118 O 0.8804 0.2757 0.4630
O119 O 0.8814 0.6140 0.1173
O120 O 0.8815 0.9465 0.7891
O121 O 0.8952 0.0853 0.1770
O122 O 0.9077 0.7411 0.5016
O123 O 0.9090 0.2959 0.5776
O124 O 0.9092 0.4110 0.2235
O125 O 0.9108 0.4278 0.8414
O126 O 0.9135 0.2911 0.1668
O127 O 0.9155 0.2591 0.8441
O128 O 0.9159 0.7354 0.8939
O129 O 0.9171 0.6182 0.8343
O130 O 0.9177 0.9199 0.1756
O131 O 0.9230 0.5944 0.5089
O132 O 0.9235 0.9583 0.9048
O133 O 0.9261 0.9520 0.5053
O134 O 0.9271 0.4239 0.1200
O135 O 0.9314 0.0841 0.4587
O136 O 0.9327 0.0710 0.5631
O137 O 0.9332 0.7528 0.7908
O138 O 0.9421 0.6055 0.2268
O139 O 0.9774 0.5324 0.0070
O140 O 0.9864 0.1961 0.3468
O141 O 0.9866 0.8725 0.6748
O142 O 0.9922 0.5033 0.6277
O143 O 0.9968 0.1837 0.6704
O144 O 0.9982 0.8566 0.0114
# Symmetry: P1

---

# Ca19Si6S6Cl2O48 PBE-GGA optimized geometry
data_Ca19Si6S6Cl2O48
_chemical_formula_sum 'Ca19 Si6 S6 Cl2 O48'
_symmetry_space_group_name_H-M 'P 1'
_symmetry_Int_Tables_number 1
_symmetry_space_group_name_Hall 'P 1'
_cell_length_a 9.7208
_cell_length_b 13.7848
_cell_length_c 9.7508
_cell_angle_alpha 90.00
_cell_angle_beta 119.83
_cell_angle_gamma 90.00
loop_
_atom_site_label
_atom_site_type_symbol
_atom_site_fract_x
_atom_site_fract_y
_atom_site_fract_z
Ca1 Ca 0.0000 0.0000 0.0000
Ca2 Ca 0.0005 0.5000 0.9857
Ca3 Ca 0.0039 0.2497 0.4574
Ca4 Ca 0.0039 0.7503 0.4574
Ca5 Ca 0.2375 0.2510 0.9774
Ca6 Ca 0.2375 0.7490 0.9774
Ca7 Ca 0.2579 0.5000 0.7679
Ca8 Ca 0.2725 0.0000 0.7687
Ca9 Ca 0.3060 0.3699 0.3706
Ca10 Ca 0.3060 0.6301 0.3706
Ca11 Ca 0.3206 0.1279 0.3782
Ca12 Ca 0.3206 0.8721 0.3782
Ca13 Ca 0.6374 0.3686 0.0400
Ca14 Ca 0.6374 0.6314 0.0400
Ca15 Ca 0.6513 0.1233 0.0547
Ca16 Ca 0.6513 0.8767 0.0547
Ca17 Ca 0.7116 0.5000 0.4664
Ca18 Ca 0.7276 0.2487 0.7506
Ca19 Ca 0.7276 0.7513 0.7506
Si1 Si 0.3478 0.0000 0.1184
Si2 Si 0.3661 0.5000 0.1404
Si3 Si 0.3707 0.2506 0.7479
Si4 Si 0.3707 0.7494 0.7479
Si5 Si 0.9468 0.2506 0.0946
Si6 Si 0.9468 0.7494 0.0946
S1 S 0.0055 0.0000 0.3626
S2 S 0.0113 0.5000 0.3514
S3 S 0.5607 0.5000 0.6870
S4 S 0.5795 0.0000 0.6916
S5 S 0.6244 0.2523 0.3351
S6 S 0.6244 0.7477 0.3351
Cl1 Cl 0.9696 0.3524 0.7110
Cl2 Cl 0.9696 0.6476 0.7110
O1 O 0.0475 0.0857 0.4671
O2 O 0.0475 0.9143 0.4671
O3 O 0.0638 0.4135 0.4555
O4 O 0.0638 0.5865 0.4555
O5 O 0.0996 0.5000 0.2611
O6 O 0.1083 0.0000 0.2860
O7 O 0.1379 0.2489 0.2195
O8 O 0.1379 0.7511 0.2195
O9 O 0.2243 0.0936 0.0488
O10 O 0.2243 0.9064 0.0488
O11 O 0.2466 0.4053 0.0824
O12 O 0.2466 0.5947 0.0824
O13 O 0.2781 0.1653 0.7882
O14 O 0.2781 0.8347 0.7882
O15 O 0.3023 0.2541 0.5557
O16 O 0.3023 0.7459 0.5557
O17 O 0.3485 0.3498 0.8293
O18 O 0.3485 0.6502 0.8293
O19 O 0.3834 0.5000 0.5985
O20 O 0.3995 0.0000 0.6053
O21 O 0.4246 0.0000 0.3103
O22 O 0.4506 0.5000 0.3362
O23 O 0.4722 0.0000 0.0472
O24 O 0.4947 0.5000 0.0782
O25 O 0.5152 0.2541 0.4025
O26 O 0.5152 0.7459 0.4025
O27 O 0.5263 0.2347 0.1591
O28 O 0.5263 0.7653 0.1591
O29 O 0.5652 0.2342 0.8523
O30 O 0.5652 0.7658 0.8523
O31 O 0.6191 0.4128 0.6412
O32 O 0.6193 0.5000 0.8597
O33 O 0.6191 0.5872 0.6412
O34 O 0.6336 0.0884 0.6478
O35 O 0.6336 0.9116 0.6478
O36 O 0.6350 0.0000 0.8662
O37 O 0.7017 0.3489 0.3553
O38 O 0.7017 0.6511 0.3553
O39 O 0.7465 0.1778 0.4130
O40 O 0.7465 0.8222 0.4130
O41 O 0.8381 0.0000 0.2338
O42 O 0.8379 0.5000 0.2435
O43 O 0.8465 0.2418 0.1912
O44 O 0.8465 0.7582 0.1912
O45 O 0.8772 0.3508 0.9876
O46 O 0.8772 0.6492 0.9876
O47 O 0.8943 0.1584 0.9694
O48 O 0.8943 0.8416 0.9694
# Symmetry: Pm

---

# CeTh3O8 PBE-GGA optimized geometry
data_CeTh3O8
_chemical_formula_sum 'Ce1 Th3 O8'
_symmetry_space_group_name_H-M 'P 1'
_symmetry_Int_Tables_number 1
_symmetry_space_group_name_Hall 'P 1'
_cell_length_a 6.8375
_cell_length_b 6.8375
_cell_length_c 3.9487
_cell_angle_alpha 90.00
_cell_angle_beta 90.00
_cell_angle_gamma 109.47
loop_
_atom_site_label
_atom_site_type_symbol
_atom_site_fract_x
_atom_site_fract_y
_atom_site_fract_z
Ce1 Ce 0.0000 0.0000 0.0000
Th1 Th 0.0000 0.5000 0.5000
Th2 Th 0.5000 0.0000 0.5000
Th3 Th 0.5000 0.5000 0.0000
O1 O 0.1234 0.3716 0.0000
O2 O 0.1228 0.8772 0.5000
O3 O 0.3716 0.1234 0.0000
O4 O 0.3747 0.6253 0.5000
O5 O 0.6253 0.3747 0.5000
O6 O 0.6284 0.8766 0.0000
O7 O 0.8772 0.1228 0.5000
O8 O 0.8766 0.6284 0.0000
# Symmetry: Cmmm

---

Formation energy / eV per atom: -2.4930 -0.5445 -2.3853 -2.8644 -3.0334 -4.2527
Uncorrected energy / eV/atom: -6.8654 -6.3029 -7.7326 -7.0996 -6.7828 -9.4412